# CaH8Cl2O4

A relaxed structure of CaH8Cl2O4 (r2SCAN, the Materials Project database).

a b c (Å): 7.535 6.098 8.834
angles (deg): 69.60 90.00 90.00
Sites, in units of the cell vectors:
Ca 0.500 0.000 0.500
Ca 0.000 0.000 0.000
H 0.439 0.110 0.805
H 0.939 0.890 0.695
H 0.561 0.890 0.195
H 0.061 0.110 0.305
H 0.569 0.900 0.856
H 0.069 0.100 0.644
H 0.431 0.100 0.144
H 0.931 0.900 0.356
H 0.266 0.592 0.517
H 0.766 0.408 0.983
H 0.734 0.408 0.483
H 0.234 0.592 0.017
H 0.785 0.411 0.808
H 0.285 0.589 0.692
H 0.715 0.411 0.308
H 0.215 0.589 0.192
Cl 0.783 0.693 0.574
Cl 0.283 0.307 0.926
Cl 0.217 0.307 0.426
Cl 0.717 0.693 0.074
O 0.503 0.004 0.763
O 0.003 0.996 0.737
O 0.497 0.996 0.237
O 0.997 0.004 0.263
O 0.297 0.691 0.580
O 0.797 0.309 0.920
O 0.703 0.309 0.420
O 0.203 0.691 0.080

Properties
Symmetry = No. 14
Formation energy = -1.376 eV/atom